Computed, not measured: an optimized crystal structure of V4Co2N at the GGA-PBE level of DFT.

## Properties
- formation energy (eV/atom) = -0.576
- corrected total energy (MP2020 scheme) (eV for the cell shown) = -251.675
- calculated total energy (eV for the cell shown) = -250.2
- spin magnetization (μB per formula unit) = 1.83

Cell and atoms, written as POSCAR:
```
V4Co2N
1.0
0.0000 5.4079 5.4079
5.4079 0.0000 5.4079
5.4079 5.4079 0.0000
V Co N
16 8 4
Direct
0.0000 0.0000 0.0000
0.0000 0.0000 0.5000
0.0000 0.5000 0.0000
0.1914 0.1914 0.5586
0.1914 0.5586 0.1914
0.1914 0.5586 0.5586
0.4414 0.4414 0.8086
0.4414 0.8086 0.4414
0.4414 0.8086 0.8086
0.5000 0.0000 0.0000
0.5586 0.1914 0.1914
0.5586 0.1914 0.5586
0.5586 0.5586 0.1914
0.8086 0.4414 0.4414
0.8086 0.4414 0.8086
0.8086 0.8086 0.4414
0.1288 0.7904 0.7904
0.2096 0.2096 0.2096
0.2096 0.2096 0.8712
0.2096 0.8712 0.2096
0.7904 0.1288 0.7904
0.7904 0.7904 0.1288
0.7904 0.7904 0.7904
0.8712 0.2096 0.2096
0.0000 0.5000 0.5000
0.5000 0.0000 0.5000
0.5000 0.5000 0.0000
0.5000 0.5000 0.5000
```


Computed, not measured: an optimized crystal structure of VCoN2 at the GGA-PBE level of DFT.

## Properties
- formation energy (eV/atom) = -0.459
- corrected total energy (MP2020 scheme) (eV for the cell shown) = -69.405
- calculated total energy (eV for the cell shown) = -68.0
- spin magnetization (μB per formula unit) = 0.05

Cell and atoms, written as POSCAR:
```
VCoN2
1.0
2.8375 0.0000 0.0000
-1.4187 2.4573 0.0000
0.0000 0.0000 9.5892
V Co N
2 2 4
Direct
0.3333 0.6667 0.2500
0.6667 0.3333 0.7500
0.0000 0.0000 0.0000
0.0000 0.0000 0.5000
0.3333 0.6667 0.6207
0.3333 0.6667 0.8793
0.6667 0.3333 0.1207
0.6667 0.3333 0.3793
```


Computed, not measured: an optimized crystal structure of V2Co3N4 at the GGA-PBE level of DFT.

## Properties
- formation energy (eV/atom) = -0.407
- corrected total energy (MP2020 scheme) (eV for the cell shown) = -152.995
- calculated total energy (eV for the cell shown) = -150.1
- spin magnetization (μB per formula unit) = 0.32

Cell and atoms, written as POSCAR:
```
V2Co3N4
1.0
4.2048 -3.5811 0.0000
4.2048 3.5811 0.0000
-0.0693 0.0000 5.6434
V Co N
4 6 8
Direct
0.0522 0.3054 0.1530
0.3054 0.0522 0.6530
0.6946 0.9478 0.3470
0.9478 0.6946 0.8470
0.1675 0.8325 0.2500
0.2722 0.4853 0.5112
0.4853 0.2722 0.0112
0.5147 0.7278 0.9888
0.7278 0.5147 0.4888
0.8325 0.1675 0.7500
0.0380 0.2585 0.4935
0.2309 0.5551 0.0303
0.2585 0.0380 0.9935
0.4449 0.7691 0.4697
0.5551 0.2309 0.5303
0.7415 0.9620 0.0065
0.7691 0.4449 0.9697
0.9620 0.7415 0.5065
```